1.
Entry from the Materials Project database: crystalline Li3Mn3SbO8 at its relaxed geometry (PBE+U).

a = 6.1195 Å, b = 6.1195 Å, c = 6.1195 Å
α = 60.86°, β = 60.86°, γ = 60.86°
Fractional coordinates of all 15 atoms:
1 Li 0.0000 0.5000 0.5000
2 Li 0.5000 0.0000 0.5000
3 Li 0.5000 0.5000 0.0000
4 Mn 0.0000 0.0000 0.5000
5 Mn 0.0000 0.5000 0.0000
6 Mn 0.5000 0.0000 0.0000
7 Sb 0.5000 0.5000 0.5000
8 O 0.2297 0.2297 0.2297
9 O 0.2695 0.2695 0.7295
10 O 0.2695 0.7295 0.2695
11 O 0.2705 0.7305 0.7305
12 O 0.7295 0.2695 0.2695
13 O 0.7305 0.2705 0.7305
14 O 0.7305 0.7305 0.2705
15 O 0.7703 0.7703 0.7703

Output
Its space group is R-3m. The calculation puts the size of the total moment at 13.00 μB per formula unit. As for the formation energy from the elements: -2.07 eV per atom. For the total energy, the calculation gives -97.468 eV per formula unit.



2.
Entry from the Materials Project database: crystalline MnH6SO6 at its relaxed geometry (PBE+U).

a = 6.7268 Å, b = 8.9928 Å, c = 10.5211 Å
α = 90.00°, β = 123.57°, γ = 90.00°
Fractional coordinates of all 56 atoms:
1 Mn 0.2096 0.2438 0.1404
2 Mn 0.2096 0.2562 0.6404
3 Mn 0.7904 0.7438 0.3596
4 Mn 0.7904 0.7562 0.8596
5 H 0.2233 0.5133 0.4785
6 H 0.2233 0.9867 0.9785
7 H 0.3140 0.6954 0.7746
8 H 0.3140 0.8046 0.2746
9 H 0.3312 0.6759 0.1020
10 H 0.3312 0.8241 0.6020
11 H 0.4629 0.5460 0.8487
12 H 0.4629 0.9540 0.3487
13 H 0.4842 0.0142 0.1307
14 H 0.4842 0.4858 0.6307
15 H 0.4879 0.6781 0.0295
16 H 0.4879 0.8219 0.5295
17 H 0.5121 0.1781 0.4705
18 H 0.5121 0.3219 0.9705
19 H 0.5158 0.5142 0.3693
20 H 0.5158 0.9858 0.8693
21 H 0.5371 0.0460 0.6513
22 H 0.5371 0.4540 0.1513
23 H 0.6688 0.1759 0.3980
24 H 0.6688 0.3241 0.8980
25 H 0.6860 0.1954 0.7254
26 H 0.6860 0.3046 0.2254
27 H 0.7767 0.0133 0.0215
28 H 0.7767 0.4867 0.5215
29 S 0.0065 0.5698 0.1761
30 S 0.0065 0.9302 0.6761
31 S 0.9935 0.0698 0.3239
32 S 0.9935 0.4302 0.8239
33 O 0.0491 0.6385 0.3242
34 O 0.0491 0.8615 0.8242
35 O 0.0671 0.6999 0.1027
36 O 0.0671 0.8001 0.6027
37 O 0.2166 0.0398 0.7351
38 O 0.2166 0.4602 0.2351
39 O 0.3143 0.0457 0.0737
40 O 0.3143 0.4543 0.5737
41 O 0.4694 0.6559 0.8603
42 O 0.4694 0.8441 0.3603
43 O 0.4955 0.6614 0.1260
44 O 0.4955 0.8386 0.6260
45 O 0.5045 0.1614 0.3740
46 O 0.5045 0.3386 0.8740
47 O 0.5306 0.1559 0.6397
48 O 0.5306 0.3441 0.1397
49 O 0.6857 0.5457 0.4263
50 O 0.6857 0.9543 0.9263
51 O 0.7834 0.5398 0.7649
52 O 0.7834 0.9602 0.2649
53 O 0.9329 0.1999 0.3973
54 O 0.9329 0.3001 0.8973
55 O 0.9509 0.1385 0.1758
56 O 0.9509 0.3615 0.6758

Output
Its space group is P2_1/c. The energy relative to the lowest polymorph listed for this composition is 0.00 eV/f.u. The calculation puts the size of the total moment at 5.00 μB per formula unit. As for the formation energy from the elements: -1.48 eV per atom. For the total energy, the calculation gives -78.287 eV per formula unit.



3.
Entry from the Materials Project database: crystalline Mg2Mn2Si3O12 at its relaxed geometry (PBE+U).

a = 10.1082 Å, b = 10.1082 Å, c = 10.1082 Å
α = 109.73°, β = 109.73°, γ = 108.96°
Fractional coordinates of all 76 atoms:
1 Mg 0.1300 0.2500 0.3800
2 Mg 0.2500 0.3700 0.1200
3 Mg 0.2500 0.8700 0.6200
4 Mg 0.3700 0.7500 0.1200
5 Mg 0.6300 0.2500 0.8800
6 Mg 0.7500 0.1300 0.3800
7 Mg 0.7500 0.6300 0.8800
8 Mg 0.8700 0.7500 0.6200
9 Mn 0.0000 0.0000 0.0000
10 Mn 0.0000 0.0000 0.5000
11 Mn 0.0000 0.5000 0.0000
12 Mn 0.0000 0.5000 0.5000
13 Mn 0.5000 0.0000 0.0000
14 Mn 0.5000 0.0000 0.5000
15 Mn 0.5000 0.5000 0.0000
16 Mn 0.5000 0.5000 0.5000
17 Si 0.1250 0.8750 0.2500
18 Si 0.1258 0.7500 0.8758
19 Si 0.2500 0.1258 0.8758
20 Si 0.2500 0.6258 0.3758
21 Si 0.3742 0.2500 0.6242
22 Si 0.3750 0.6250 0.7500
23 Si 0.6250 0.3750 0.2500
24 Si 0.6258 0.7500 0.3758
25 Si 0.7500 0.3742 0.6242
26 Si 0.7500 0.8742 0.1242
27 Si 0.8742 0.2500 0.1242
28 Si 0.8750 0.1250 0.7500
29 O 0.0135 0.3080 0.9063
30 O 0.0175 0.2030 0.1254
31 O 0.0776 0.7030 0.6855
32 O 0.0983 0.8928 0.4063
33 O 0.1072 0.0135 0.2055
34 O 0.1079 0.9825 0.6855
35 O 0.1097 0.6221 0.4234
36 O 0.1221 0.6097 0.9234
37 O 0.1862 0.1986 0.5766
38 O 0.1920 0.4865 0.5937
39 O 0.1986 0.1221 0.0124
40 O 0.2030 0.5776 0.1855
41 O 0.2970 0.4825 0.3746
42 O 0.3014 0.3138 0.9234
43 O 0.3080 0.9017 0.2945
44 O 0.3138 0.8903 0.0124
45 O 0.3779 0.3014 0.4876
46 O 0.3903 0.8138 0.5124
47 O 0.3921 0.0776 0.8746
48 O 0.3928 0.5983 0.9063
49 O 0.4017 0.8080 0.7945
50 O 0.4224 0.1079 0.6254
51 O 0.4825 0.6079 0.1855
52 O 0.4865 0.3928 0.2945
53 O 0.5135 0.6072 0.7055
54 O 0.5175 0.3921 0.8145
55 O 0.5776 0.8921 0.3746
56 O 0.5983 0.1920 0.2055
57 O 0.6072 0.4017 0.0937
58 O 0.6079 0.9224 0.1254
59 O 0.6097 0.1862 0.4876
60 O 0.6221 0.6986 0.5124
61 O 0.6862 0.1097 0.9876
62 O 0.6920 0.0983 0.7055
63 O 0.6986 0.6862 0.0766
64 O 0.7030 0.5175 0.6254
65 O 0.7970 0.4224 0.8145
66 O 0.8014 0.8779 0.9876
67 O 0.8080 0.5135 0.4063
68 O 0.8138 0.8014 0.4234
69 O 0.8779 0.3903 0.0766
70 O 0.8903 0.3779 0.5766
71 O 0.8921 0.0175 0.3145
72 O 0.8928 0.9865 0.7945
73 O 0.9017 0.1072 0.5937
74 O 0.9224 0.2970 0.3145
75 O 0.9825 0.7970 0.8746
76 O 0.9865 0.6920 0.0937

Output
Its space group is I4_1/acd. The calculation puts the size of the total moment at 6.00 μB per formula unit. As for the formation energy from the elements: -2.68 eV per atom. For the total energy, the calculation gives -136.599 eV per formula unit.



4.
Entry from the Materials Project database: crystalline MgV2Co2O8 at its relaxed geometry (PBE+U).

a = 6.1067 Å, b = 5.6974 Å, c = 5.6974 Å
α = 59.44°, β = 90.00°, γ = 90.00°
Fractional coordinates of all 13 atoms:
1 Mg 0.0000 0.0000 0.0000
2 V 0.0000 0.7370 0.7370
3 V 0.5000 0.5305 0.5305
4 Co 0.2946 0.2221 0.2221
5 Co 0.7054 0.2221 0.2221
6 O 0.0000 0.3713 0.9359
7 O 0.0000 0.9359 0.3713
8 O 0.2119 0.8476 0.8476
9 O 0.2788 0.4234 0.4234
10 O 0.5000 0.3747 0.8985
11 O 0.5000 0.8985 0.3747
12 O 0.7212 0.4234 0.4234
13 O 0.7881 0.8476 0.8476

Output
Its space group is Amm2. The energy relative to the lowest polymorph listed for this composition is 3.61 eV/f.u. The calculation puts the size of the total moment at 6.00 μB per formula unit. As for the formation energy from the elements: -1.87 eV per atom. For the total energy, the calculation gives -85.682 eV per formula unit.



5.
Entry from the Materials Project database: crystalline Li2CeSmMo4O16 at its relaxed geometry (PBE+U).

a = 5.3077 Å, b = 5.3077 Å, c = 11.4254 Å
α = 90.00°, β = 90.00°, γ = 90.00°
Fractional coordinates of all 24 atoms:
1 Li 0.0000 0.5000 0.2503
2 Li 0.5000 0.0000 0.7497
3 Ce 0.0000 0.0000 0.0000
4 Sm 0.5000 0.5000 0.5000
5 Mo 0.0000 0.0000 0.5000
6 Mo 0.0000 0.5000 0.7459
7 Mo 0.5000 0.0000 0.2541
8 Mo 0.5000 0.5000 0.0000
9 O 0.1430 0.2588 0.8351
10 O 0.1548 0.7565 0.4159
11 O 0.2435 0.1548 0.5841
12 O 0.2476 0.6476 0.6610
13 O 0.2514 0.3539 0.0841
14 O 0.2588 0.8570 0.1649
15 O 0.3524 0.2476 0.3390
16 O 0.3539 0.7486 0.9159
17 O 0.6461 0.2514 0.9159
18 O 0.6476 0.7524 0.3390
19 O 0.7412 0.1430 0.1649
20 O 0.7486 0.6461 0.0841
21 O 0.7524 0.3524 0.6610
22 O 0.7565 0.8452 0.5841
23 O 0.8452 0.2435 0.4159
24 O 0.8570 0.7412 0.8351

Output
Its space group is P-4. The energy relative to the lowest polymorph listed for this composition is 0.00 eV/f.u. The calculation puts the size of the total moment at 1.00 μB per formula unit. As for the formation energy from the elements: -2.48 eV per atom. For the total energy, the calculation gives -172.834 eV per formula unit.



6.
Entry from the Materials Project database: crystalline Na3Li3Mn2P2C2O14 at its relaxed geometry (PBE+U).

a = 6.7726 Å, b = 8.7743 Å, c = 10.1838 Å
α = 90.92°, β = 90.20°, γ = 91.16°
Fractional coordinates of all 52 atoms:
1 Na 0.0000 0.0000 0.0000
2 Na 0.9999 0.0017 0.4990
3 Na 0.4965 0.0018 0.0014
4 Na 0.7392 0.1729 0.7523
5 Na 0.9982 0.5094 0.2510
6 Na 0.9995 0.5092 0.7504
7 Li 0.2619 0.3479 0.0025
8 Li 0.2725 0.3436 0.5016
9 Li 0.4736 0.5287 0.7628
10 Li 0.4820 0.5239 0.2583
11 Li 0.5236 0.9821 0.4880
12 Li 0.7334 0.1715 0.2504
13 Mn 0.2490 0.8937 0.7595
14 Mn 0.2525 0.8969 0.2648
15 Mn 0.7425 0.6131 0.9865
16 Mn 0.7442 0.6088 0.4872
17 P 0.2508 0.6592 0.0212
18 P 0.2575 0.6613 0.5203
19 P 0.7378 0.8405 0.7249
20 P 0.7451 0.8467 0.2302
21 C 0.2592 0.2113 0.2421
22 C 0.2596 0.2108 0.7408
23 C 0.7375 0.2990 0.5018
24 C 0.7450 0.3154 0.0180
25 O 0.0611 0.5632 0.9893
26 O 0.0619 0.5762 0.4832
27 O 0.2455 0.8201 0.9602
28 O 0.2503 0.1059 0.6489
29 O 0.2509 0.1714 0.3644
30 O 0.2525 0.1725 0.8642
31 O 0.2530 0.1066 0.1491
32 O 0.2695 0.8265 0.4655
33 O 0.2737 0.3531 0.2087
34 O 0.2738 0.6755 0.6734
35 O 0.2736 0.6802 0.1735
36 O 0.2753 0.3526 0.7071
37 O 0.4235 0.5622 0.9670
38 O 0.4253 0.5587 0.4669
39 O 0.5636 0.9372 0.7751
40 O 0.5724 0.9507 0.2752
41 O 0.7212 0.1543 0.5225
42 O 0.7270 0.8287 0.5715
43 O 0.7305 0.6758 0.7800
44 O 0.7298 0.6847 0.2888
45 O 0.7327 0.4103 0.1164
46 O 0.7405 0.8282 0.0774
47 O 0.7447 0.3952 0.6011
48 O 0.7472 0.3501 0.3824
49 O 0.7476 0.3676 0.8989
50 O 0.7540 0.1704 0.0400
51 O 0.9313 0.9279 0.7652
52 O 0.9376 0.9344 0.2713

Output
Its space group is P1. The energy relative to the lowest polymorph listed for this composition is 0.18 eV/f.u. The calculation puts the size of the total moment at 10.00 μB per formula unit. As for the formation energy from the elements: -2.39 eV per atom. For the total energy, the calculation gives -175.645 eV per formula unit.



7.
Entry from the Materials Project database: crystalline Mn2ZnP2H2O9 at its relaxed geometry (PBE+U).

a = 8.3630 Å, b = 10.3358 Å, c = 9.5488 Å
α = 90.00°, β = 118.44°, γ = 90.00°
Fractional coordinates of all 64 atoms:
1 Mn 0.0827 0.1412 0.4663
2 Mn 0.0827 0.3588 0.9663
3 Mn 0.2407 0.1167 0.2200
4 Mn 0.2407 0.3833 0.7200
5 Mn 0.7593 0.6167 0.2800
6 Mn 0.7593 0.8833 0.7800
7 Mn 0.9173 0.6412 0.0337
8 Mn 0.9173 0.8588 0.5337
9 Zn 0.4372 0.6202 0.5625
10 Zn 0.4372 0.8798 0.0625
11 Zn 0.5628 0.1202 0.9375
12 Zn 0.5628 0.3798 0.4375
13 P 0.1243 0.0842 0.8280
14 P 0.1243 0.4158 0.3280
15 P 0.4797 0.6753 0.8642
16 P 0.4797 0.8247 0.3642
17 P 0.5203 0.1753 0.6358
18 P 0.5203 0.3247 0.1358
19 P 0.8757 0.5842 0.6720
20 P 0.8757 0.9158 0.1720
21 H 0.2141 0.6245 0.9916
22 H 0.2141 0.8755 0.4916
23 H 0.2969 0.5984 0.1739
24 H 0.2969 0.9016 0.6739
25 H 0.7031 0.0984 0.3261
26 H 0.7031 0.4016 0.8261
27 H 0.7859 0.1245 0.5084
28 H 0.7859 0.3755 0.0084
29 O 0.0093 0.0306 0.2468
30 O 0.0093 0.4694 0.7468
31 O 0.0895 0.1502 0.9571
32 O 0.0895 0.3498 0.4571
33 O 0.1074 0.1838 0.7003
34 O 0.1074 0.3162 0.2003
35 O 0.1870 0.5836 0.0720
36 O 0.1870 0.9164 0.5720
37 O 0.3261 0.0323 0.9082
38 O 0.3261 0.4677 0.4082
39 O 0.3411 0.7332 0.9115
40 O 0.3411 0.7668 0.4115
41 O 0.3474 0.1315 0.4835
42 O 0.3474 0.3685 0.9835
43 O 0.3896 0.5604 0.7434
44 O 0.3896 0.9396 0.2434
45 O 0.4702 0.2272 0.2331
46 O 0.4702 0.2728 0.7331
47 O 0.5298 0.7272 0.2669
48 O 0.5298 0.7728 0.7669
49 O 0.6104 0.0604 0.7566
50 O 0.6104 0.4396 0.2566
51 O 0.6526 0.6315 0.0165
52 O 0.6526 0.8685 0.5165
53 O 0.6589 0.2332 0.5885
54 O 0.6589 0.2668 0.0885
55 O 0.6739 0.5323 0.5918
56 O 0.6739 0.9677 0.0918
57 O 0.8130 0.0836 0.4280
58 O 0.8130 0.4164 0.9280
59 O 0.8926 0.6838 0.7997
60 O 0.8926 0.8162 0.2997
61 O 0.9105 0.6502 0.5429
62 O 0.9105 0.8498 0.0429
63 O 0.9907 0.5306 0.2532
64 O 0.9907 0.9694 0.7532

Output
Its space group is P2_1/c. The calculation puts the size of the total moment at 10.00 μB per formula unit. As for the formation energy from the elements: -2.26 eV per atom. For the total energy, the calculation gives -108.329 eV per formula unit.



8.
Entry from the Materials Project database: crystalline AlNi3O6 at its relaxed geometry (PBE+U).

a = 5.7579 Å, b = 5.7579 Å, c = 14.3164 Å
α = 90.00°, β = 90.00°, γ = 59.97°
Fractional coordinates of all 40 atoms:
1 Al 0.0001 0.0001 0.1301
2 Al 0.9999 0.9999 0.8699
3 Al 0.3333 0.3333 0.4476
4 Al 0.6667 0.6667 0.5524
5 Ni 0.0000 0.0000 0.5000
6 Ni 0.0000 0.5000 0.0000
7 Ni 0.1694 0.1694 0.6643
8 Ni 0.1697 0.6610 0.6643
9 Ni 0.3335 0.3335 0.8294
10 Ni 0.3389 0.8303 0.3357
11 Ni 0.5000 0.0000 0.0000
12 Ni 0.5000 0.5000 0.0000
13 Ni 0.6611 0.1697 0.6643
14 Ni 0.6665 0.6665 0.1706
15 Ni 0.8303 0.3389 0.3357
16 Ni 0.8306 0.8306 0.3357
17 O 0.0001 0.0001 0.2533
18 O 0.9999 0.9999 0.7467
19 O 0.0437 0.4782 0.7381
20 O 0.1604 0.1604 0.4087
21 O 0.1601 0.6795 0.4089
22 O 0.1714 0.1714 0.9141
23 O 0.1720 0.6560 0.9136
24 O 0.3205 0.8399 0.5911
25 O 0.3335 0.3335 0.0591
26 O 0.3334 0.3334 0.5717
27 O 0.3440 0.8280 0.0864
28 O 0.4782 0.0437 0.7381
29 O 0.4789 0.4789 0.7374
30 O 0.5211 0.5211 0.2626
31 O 0.5218 0.9563 0.2619
32 O 0.6560 0.1720 0.9136
33 O 0.6666 0.6666 0.4283
34 O 0.6665 0.6665 0.9409
35 O 0.6795 0.1601 0.4089
36 O 0.8280 0.3440 0.0864
37 O 0.8286 0.8286 0.0859
38 O 0.8399 0.3205 0.5911
39 O 0.8396 0.8396 0.5913
40 O 0.9563 0.5218 0.2619

Output
Its space group is C2/m. The calculation puts the size of the total moment at 3.00 μB per formula unit. As for the formation energy from the elements: -1.54 eV per atom. For the total energy, the calculation gives -54.413 eV per formula unit.



Copy entry 5 word for word.
Entry from the Materials Project database: crystalline Li2CeSmMo4O16 at its relaxed geometry (PBE+U).

a = 5.3077 Å, b = 5.3077 Å, c = 11.4254 Å
α = 90.00°, β = 90.00°, γ = 90.00°
Fractional coordinates of all 24 atoms:
1 Li 0.0000 0.5000 0.2503
2 Li 0.5000 0.0000 0.7497
3 Ce 0.0000 0.0000 0.0000
4 Sm 0.5000 0.5000 0.5000
5 Mo 0.0000 0.0000 0.5000
6 Mo 0.0000 0.5000 0.7459
7 Mo 0.5000 0.0000 0.2541
8 Mo 0.5000 0.5000 0.0000
9 O 0.1430 0.2588 0.8351
10 O 0.1548 0.7565 0.4159
11 O 0.2435 0.1548 0.5841
12 O 0.2476 0.6476 0.6610
13 O 0.2514 0.3539 0.0841
14 O 0.2588 0.8570 0.1649
15 O 0.3524 0.2476 0.3390
16 O 0.3539 0.7486 0.9159
17 O 0.6461 0.2514 0.9159
18 O 0.6476 0.7524 0.3390
19 O 0.7412 0.1430 0.1649
20 O 0.7486 0.6461 0.0841
21 O 0.7524 0.3524 0.6610
22 O 0.7565 0.8452 0.5841
23 O 0.8452 0.2435 0.4159
24 O 0.8570 0.7412 0.8351

Output
Its space group is P-4. The energy relative to the lowest polymorph listed for this composition is 0.00 eV/f.u. The calculation puts the size of the total moment at 1.00 μB per formula unit. As for the formation energy from the elements: -2.48 eV per atom. For the total energy, the calculation gives -172.834 eV per formula unit.



What is the formation energy from the elements in the second record?
-1.48 eV per atom